[1]
## Er2MgSe4 (PBE)

Data for an optimized crystal structure of Er2MgSe4. Values from VASP.

The structure in Quantum ESPRESSO input format:
```
&SYSTEM
  ibrav = 0, nat = 28, ntyp = 3
/
ATOMIC_SPECIES
Er 167.26 Er.upf
Mg 24.30 Mg.upf
Se 78.96 Se.upf
ATOMIC_POSITIONS angstrom
Er 0.3671 1.9290 2.2396
Er 0.5180 5.7871 5.7361
Er 3.5650 1.9290 11.7038
Er 3.7159 5.7871 8.2073
Er 4.4502 1.9290 3.7281
Er 4.6011 5.7871 0.2315
Er 7.6481 1.9290 6.1992
Er 7.7990 5.7871 9.6958
Mg 1.4971 5.7871 1.1143
Mg 2.5860 1.9290 7.0820
Mg 5.5801 5.7871 4.8534
Mg 6.6690 1.9290 10.8211
Se 0.8958 1.9290 11.4194
Se 1.0240 0.0220 7.8467
Se 1.0240 3.8360 7.8467
Se 1.8244 1.9290 4.5904
Se 2.2587 5.7871 10.5581
Se 3.0591 3.8801 1.8790
Se 3.0591 7.6941 1.8790
Se 3.1872 5.7871 5.4517
Se 4.9789 1.9290 6.4837
Se 5.1071 0.0220 10.0564
Se 5.1071 3.8360 10.0564
Se 5.9074 1.9290 1.3773
Se 6.3417 5.7871 7.3450
Se 7.1421 3.8801 4.0887
Se 7.1421 7.6941 4.0887
Se 7.2703 5.7871 0.5160
CELL_PARAMETERS angstrom
8.1661 0.0000 0.0000
0.0000 7.7162 0.0000
0.0000 0.0000 11.9354
```

* energy above the lowest structure with this stoichiometry: 247 meV/atom

***

[2]
## Na18Nb4Zn20Si3S33O144 (PBE)

Data for an optimized crystal structure of Na18Nb4Zn20Si3S33O144. Values from VASP.

The structure in Quantum ESPRESSO input format:
```
&SYSTEM
  ibrav = 0, nat = 222, ntyp = 6
/
ATOMIC_SPECIES
Na 22.99 Na.upf
Nb 92.91 Nb.upf
Zn 65.41 Zn.upf
Si 28.09 Si.upf
S 32.06 S.upf
O 16.00 O.upf
ATOMIC_POSITIONS angstrom
Na 0.0000 0.0000 0.0000
Na -0.0350 4.8401 18.8988
Na -0.0109 10.0127 14.9177
Na 1.5770 2.6082 17.0045
Na 2.7559 10.2816 5.7856
Na 2.7932 4.7163 5.6438
Na 4.3127 12.6472 7.5341
Na 4.3169 7.5543 11.2499
Na 4.3815 7.4820 0.0164
Na 4.3782 2.3939 3.6820
Na 4.3480 12.5905 18.7230
Na 4.4662 2.3594 15.0567
Na 7.0895 7.1845 20.8735
Na 7.1638 2.6718 5.7427
Na 7.2053 12.3522 5.7125
Na 8.7191 5.0088 7.5079
Na 8.7136 15.1985 11.2504
Na 8.7481 9.9209 3.7288
Nb 4.3374 12.5241 10.8400
Nb 4.3926 12.5326 22.1828
Nb 8.7015 10.0197 18.4034
Nb 8.7385 4.8872 10.8339
Zn 8.7771 4.9504 15.4230
Zn 0.0017 15.2299 3.3923
Zn -0.0221 4.7727 22.3604
Zn -0.0005 15.1929 19.2169
Zn 0.0489 9.9944 7.3590
Zn 0.0532 9.9992 11.6435
Zn 4.3151 7.4509 14.6592
Zn 4.3429 12.6693 4.1314
Zn 4.3287 7.4510 19.2576
Zn 4.3526 7.5682 8.0048
Zn 4.3792 2.5309 0.3718
Zn 4.3535 12.5933 15.4259
Zn 4.4005 2.3877 18.5326
Zn 4.4481 7.4522 3.3636
Zn 4.4499 2.3772 7.3534
Zn 4.4654 2.3542 11.6518
Zn 8.7316 9.9743 0.4168
Zn 8.7730 5.0066 3.9965
Zn 8.7639 15.2206 8.0156
Zn 8.7637 15.1196 14.6656
Si 2.5103 9.9174 9.3973
Si 6.1569 9.9354 20.8099
Si 6.9122 2.2752 9.3986
S 1.2026 12.2473 20.7941
S 1.2529 7.1735 13.2470
S 1.2633 12.9453 5.6349
S 1.2629 7.7666 20.7758
S 1.2915 2.6829 13.2345
S 1.3151 2.1033 5.6500
S 1.7642 2.3546 20.7481
S 1.7955 7.4908 5.6204
S 1.7803 12.5747 13.2519
S 2.5513 15.0826 16.9842
S 2.5982 4.9793 1.8938
S 3.0820 10.3719 1.9046
S 3.0723 0.1750 9.4594
S 3.1011 14.8708 1.8956
S 3.0827 5.2326 16.9815
S 3.1120 4.6415 9.4470
S 3.1091 9.7158 16.9885
S 5.6643 14.8103 13.2518
S 5.6857 5.2895 5.6659
S 5.6686 4.5832 20.7573
S 5.6843 10.3326 13.2449
S 5.6780 0.1652 20.7819
S 5.7071 9.7405 5.6333
S 6.1952 15.1274 5.6322
S 6.1899 4.9381 13.2528
S 6.9405 7.4170 16.9858
S 7.0025 12.6133 1.9306
S 7.4599 2.0686 16.9685
S 7.4861 2.6857 1.9075
S 7.4719 7.8129 9.4626
S 7.4672 12.9133 16.9980
S 7.5012 7.2321 1.8672
S 7.5170 12.2827 9.4426
O 0.5385 6.4767 20.8072
O 0.6225 11.5781 5.6939
O 0.6149 1.3741 13.2717
O 0.6157 8.4978 13.1323
O 0.6213 8.5027 19.5547
O 0.6721 3.4780 5.5299
O 0.6780 13.5701 4.4222
O 0.6419 13.5770 20.5978
O 0.6841 1.4946 6.8294
O 0.6716 3.4273 12.0399
O 0.6964 6.5344 14.4514
O 0.6787 11.6069 21.9884
O 0.8994 1.1328 20.6472
O 0.9327 8.7041 5.7429
O 0.9127 3.5761 20.8775
O 0.9264 11.3936 13.0943
O 0.9571 6.2530 5.4779
O 0.9505 6.3254 12.0300
O 0.9997 13.8276 13.2852
O 1.0201 13.7227 6.8521
O 1.0181 11.3883 19.5579
O 1.0471 3.4626 14.4664
O 1.0480 8.5834 21.9650
O 1.0936 1.3203 4.4212
O 1.5767 4.8066 9.6378
O 1.5738 9.8644 17.1910
O 1.5892 5.0471 16.8707
O 1.6326 10.2780 1.6980
O 1.6315 14.9212 1.9319
O 1.6448 15.1798 9.3070
O 1.6730 9.8010 10.7377
O 1.7089 0.0502 15.7831
O 1.7477 5.1807 0.7057
O 1.7337 14.8699 18.1998
O 1.8157 4.7734 3.1541
O 1.8127 10.3802 7.9964
O 2.5446 2.5413 19.4865
O 2.6168 7.2431 6.8250
O 2.6153 12.3734 14.4383
O 2.6173 2.1466 21.9325
O 2.6476 7.7438 4.4271
O 2.6918 7.6023 20.5664
O 2.7079 12.7306 12.0279
O 2.7343 7.2683 13.3010
O 2.7409 2.5747 13.0324
O 2.7283 12.3684 20.9084
O 2.7502 12.7245 5.5196
O 2.7886 2.3068 5.7938
O 3.2004 3.8547 8.1906
O 3.2502 8.9106 15.7713
O 3.2849 0.9680 10.6636
O 3.3280 11.1663 3.1231
O 3.3158 6.0348 18.1934
O 3.3816 1.0544 17.1171
O 3.4433 3.7546 1.7728
O 3.4390 13.9764 0.6782
O 3.4481 6.1995 1.9990
O 3.4240 13.8883 16.8538
O 3.5041 11.3588 9.6961
O 3.5844 8.7285 9.3214
O 3.6260 3.9865 10.6399
O 3.6495 9.1003 18.1983
O 3.6570 11.0815 16.8634
O 3.6870 14.2428 3.0862
O 3.6630 3.8472 17.0926
O 3.6691 5.8436 15.7719
O 3.7015 11.1341 0.6933
O 3.6881 5.9740 9.3102
O 3.6977 0.6941 8.2327
O 3.7254 0.9054 1.7106
O 3.7519 9.0715 1.9263
O 3.7600 14.0691 9.6468
O 5.0320 3.9256 5.7263
O 5.0136 9.0174 13.2948
O 5.0271 0.8540 13.1301
O 5.0044 14.0284 20.9894
O 5.0488 0.6594 19.5601
O 5.0687 11.1292 5.5211
O 5.0898 5.8984 4.4558
O 5.0585 5.9453 20.6359
O 5.0888 9.1503 6.8277
O 5.0756 11.0503 12.0188
O 5.1088 14.1695 14.4553
O 5.1010 3.9795 21.9702
O 5.2535 8.6510 20.5580
O 5.2545 11.3469 20.9592
O 5.3375 1.0547 5.7469
O 5.3381 3.7584 13.0936
O 5.3587 13.8797 5.4963
O 5.3564 13.9593 12.0320
O 5.4128 6.1947 13.2888
O 5.4304 6.0782 6.8764
O 5.4151 0.9352 21.9932
O 5.4315 11.1431 14.4396
O 5.4578 8.9656 4.4091
O 5.4517 3.7749 19.5437
O 5.9832 12.4485 9.6300
O 6.0102 2.5529 1.7745
O 5.9951 2.2155 17.1168
O 6.0231 7.3735 1.9780
O 6.0425 12.7640 0.7042
O 6.0239 12.6521 16.8834
O 6.0475 7.5385 9.3094
O 6.0828 2.1677 10.7444
O 6.1472 7.7223 15.7985
O 6.1667 12.4224 3.1304
O 6.1917 7.2829 18.2354
O 6.2205 2.7293 7.9978
O 7.0336 0.0718 4.4268
O 7.0204 14.8694 6.8291
O 7.0315 4.7425 14.4379
O 7.1162 5.0971 12.0264
O 7.1094 9.7123 22.0414
O 7.1165 15.1799 20.6458
O 7.1365 10.2153 13.0415
O 7.1465 14.8992 13.3081
O 7.1658 5.0808 5.5376
O 7.1582 4.7858 20.8742
O 7.1820 9.9540 5.7729
O 7.1823 10.2360 19.4661
O 7.6092 11.4947 8.1837
O 7.6881 8.6038 10.6654
O 7.7167 3.4629 3.1660
O 7.7127 1.2540 15.7604
O 7.7545 6.4630 0.6151
O 7.7370 13.6571 18.2247
O 7.7763 13.8549 1.9397
O 7.8279 11.4230 1.7488
O 7.8557 6.2781 16.8554
O 7.8642 8.6953 17.1495
O 7.9073 3.7159 9.7004
O 7.9881 1.0889 9.3322
O 8.0318 11.6294 10.6334
O 8.0673 6.5899 3.0721
O 8.0796 3.3206 0.7207
O 8.0963 8.3305 8.2330
O 8.0857 13.4360 15.7830
O 8.0944 13.6155 9.3032
O 8.0919 1.4755 18.1794
O 8.1285 1.3385 2.0065
O 8.1556 8.5733 1.8211
O 8.1326 3.4143 16.8505
O 8.1653 6.4294 9.6464
O 8.1570 11.4978 17.1624
CELL_PARAMETERS angstrom
8.8102 0.0000 0.0000
-0.0023 15.2788 0.0000
-0.0432 -0.0817 22.6504
```

* VASP energy: -1310.81 eV for the cell shown

***

[3]
## CeMg6V (PBE)

Data for an optimized crystal structure of CeMg6V. Values from VASP.

The structure in Quantum ESPRESSO input format:
```
&SYSTEM
  ibrav = 0, nat = 8, ntyp = 3
/
ATOMIC_SPECIES
Ce 140.12 Ce.upf
Mg 24.30 Mg.upf
V 50.94 V.upf
ATOMIC_POSITIONS angstrom
Ce 0.0000 0.0000 0.0000
Mg 0.0000 -1.5164 8.7342
Mg 0.0000 1.5164 8.7342
Mg 2.5795 0.0000 1.8802
Mg 2.5795 -1.4572 4.7166
Mg 2.5795 0.0000 7.4909
Mg 2.5795 1.4572 4.7166
V 0.0000 0.0000 5.7400
CELL_PARAMETERS angstrom
5.1591 0.0000 0.0000
0.0000 3.0191 5.8358
0.0000 -3.0191 5.8358
```

* energy above the lowest structure with this stoichiometry: 5 meV/atom

***

[4]
## La10MgGa9O30 (PBE)

Data for an optimized crystal structure of La10MgGa9O30. Values from VASP.

The structure in Quantum ESPRESSO input format:
```
&SYSTEM
  ibrav = 0, nat = 50, ntyp = 4
/
ATOMIC_SPECIES
La 138.91 La.upf
Mg 24.30 Mg.upf
Ga 69.72 Ga.upf
O 16.00 O.upf
ATOMIC_POSITIONS angstrom
La 1.8854 2.5863 0.8725
La 5.7368 7.8717 2.6305
La 5.8028 4.3451 4.4357
La 5.8398 0.8279 6.2367
La 9.6758 6.0882 7.9878
La 5.8863 2.6098 0.8894
La 9.7223 7.8700 2.6405
La 9.7593 4.3529 4.4415
La 9.8253 0.8263 6.2467
La 13.6767 6.1116 8.0047
Mg 0.0000 0.0000 0.0000
Ga 3.8338 5.2459 1.7796
Ga 3.8927 1.7336 3.5555
Ga 7.7282 6.9668 5.3128
Ga 7.7774 3.4446 7.0985
Ga 3.9474 0.0000 0.0000
Ga 7.7847 5.2533 1.7787
Ga 7.8339 1.7312 3.5644
Ga 11.6694 6.9644 5.3217
Ga 11.7283 3.4521 7.0976
O 4.1440 1.6318 7.7336
O 3.6044 2.8765 5.1874
O 5.7348 6.8133 5.6948
O 5.8051 3.5635 6.7113
O 3.6555 0.1134 4.7105
O 8.0003 7.5983 7.1669
O 4.1766 3.3883 2.4195
O 7.4992 4.5924 8.7399
O 5.8124 8.6732 0.3651
O 5.8033 5.3503 1.3955
O 7.5241 1.8387 8.2322
O 4.2406 0.6563 1.9130
O 8.0099 5.0566 5.9339
O 7.4821 6.3949 3.4276
O 5.8667 1.6452 3.9661
O 9.6954 7.0527 4.9111
O 8.0800 2.3031 5.4496
O 7.5522 3.6413 2.9433
O 11.3215 8.0417 6.9642
O 8.0380 6.8593 0.6450
O 9.7589 3.3477 7.4817
O 9.7497 0.0248 8.5121
O 8.0629 4.1055 0.1373
O 11.3856 5.3096 6.4577
O 7.5618 1.0997 1.7103
O 11.9066 8.5846 4.1667
O 9.7570 5.1345 2.1659
O 9.8273 1.8846 3.1824
O 11.9577 5.8214 3.6898
O 11.4181 7.0662 1.1436
CELL_PARAMETERS angstrom
7.8949 0.0000 0.0000
3.7772 8.7752 0.0000
3.8900 -0.0772 8.8772
```

* VASP energy: -360.58 eV for the cell shown

***

Calculated M_tot (μB per atom), listed in the same order as above: 0.000 0.000 0.457 0.010
Calculated calculated volume (Å³/atom), listed in the same order as above: 26.86 13.73 22.72 12.30